1.
This record from the Materials Project describes Li8N3O after structural relaxation. The functional is PBE.

abc: 4.8055 4.8055 4.8055
angles: 90.00 90.00 90.00
Space group Pm-3m (No. 221)
Inequivalent atoms, fractional coordinates:
Li1 0.2424 0.2424 0.2424 [8 per cell]
N1 0.0000 0.5000 0.5000 [3 per cell]
O1 0.0000 0.0000 0.0000 [1 per cell]

Summary:
As for the total magnetization: 3.00 μB per formula unit. The value obtained for the total energy is -4.27 eV per atom.

***

2.
This record from the Materials Project describes Li4NO after structural relaxation. The functional is PBE.

abc: 3.3129 3.3129 4.9365
angles: 90.00 90.00 90.00
Space group P4/mmm (No. 123)
Inequivalent atoms, fractional coordinates:
Li1 0.0000 0.5000 0.2362 [4 per cell]
N1 0.0000 0.0000 0.5000 [1 per cell]
O1 0.5000 0.5000 0.0000 [1 per cell]

Summary:
As for the total magnetization: 1.00 μB per formula unit. The value obtained for the total energy is -4.41 eV per atom.

***

3.
This record from the Materials Project describes Li2P3NO9 after structural relaxation. The functional is PBE.

abc: 10.7134 12.4649 13.2415
angles: 90.00 90.00 90.00
Space group Pbca (No. 61)
Inequivalent atoms, fractional coordinates:
Li1 0.0826 0.1675 0.1812 [8 per cell]
Li2 0.0933 0.6673 0.8231 [8 per cell]
P1 0.1882 0.0887 0.6952 [8 per cell]
P2 0.2029 0.5924 0.3406 [8 per cell]
P3 0.2446 0.5476 0.0148 [8 per cell]
N1 0.0048 0.7417 0.5716 [8 per cell]
O1 0.0891 0.1728 0.6836 [8 per cell]
O2 0.1018 0.6744 0.3293 [8 per cell]
O3 0.1426 0.1059 0.0544 [8 per cell]
O4 0.1508 0.0200 0.7946 [8 per cell]
O5 0.1575 0.6099 0.9487 [8 per cell]
O6 0.1647 0.5008 0.1076 [8 per cell]
O7 0.1699 0.1183 0.3014 [8 per cell]
O8 0.1782 0.6217 0.6995 [8 per cell]
O9 0.2110 0.5618 0.4595 [8 per cell]

Summary:
As for the total magnetization: 2.73 μB per formula unit. The value obtained for the total energy is -6.44 eV per atom.

***

4.
This record from the Materials Project describes Li14P2N6O3 after structural relaxation. The functional is PBE.

abc: 5.6986 5.6986 8.0720
angles: 90.00 90.00 120.00
Space group P-3 (No. 147)
Inequivalent atoms, fractional coordinates:
Li1 0.0000 0.0000 0.2503 [2 per cell]
Li2 0.0429 0.3528 0.0892 [6 per cell]
Li3 0.0827 0.7043 0.4090 [6 per cell]
P1 0.3333 0.6667 0.7259 [2 per cell]
N1 0.0713 0.6944 0.6742 [6 per cell]
O1 0.0000 0.0000 0.0000 [1 per cell]
O2 0.3333 0.6667 0.9464 [2 per cell]

Summary:
As for the total magnetization: 0.00 μB per formula unit. The value obtained for the total energy is -5.24 eV per atom.

***

5.
This record from the Materials Project describes LiSNO4 after structural relaxation. The functional is PBE.

abc: 8.8470 5.4441 9.2307
angles: 90.00 90.26 90.00
Space group P2_1 (No. 4)
Inequivalent atoms, fractional coordinates:
Li1 0.1777 0.0000 0.4120 [2 per cell]
Li2 0.3192 0.4632 0.9163 [2 per cell]
S1 0.2022 0.4949 0.5898 [2 per cell]
S2 0.2978 0.9708 0.0759 [2 per cell]
N1 0.0042 0.5029 0.2038 [2 per cell]
N2 0.4957 0.4624 0.2829 [2 per cell]
O1 0.0392 0.4775 0.6298 [2 per cell]
O2 0.2243 0.3423 0.4583 [2 per cell]
O3 0.2279 0.2094 0.0396 [2 per cell]
O4 0.2294 0.7740 0.9846 [2 per cell]
O5 0.2370 0.7563 0.5596 [2 per cell]
O6 0.2679 0.8982 0.2286 [2 per cell]
O7 0.2980 0.4050 0.7093 [2 per cell]
O8 0.4632 0.9810 0.0571 [2 per cell]

Summary:
As for the total magnetization: 3.91 μB per formula unit. The value obtained for the total energy is -5.31 eV per atom.

***

6.
This record from the Materials Project describes LiSNO4 after structural relaxation. The functional is PBE.

abc: 9.3914 9.4858 5.5652
angles: 90.00 90.00 90.00
Space group Pna2_1 (No. 33)
Inequivalent atoms, fractional coordinates:
Li1 0.1808 0.0989 0.0000 [4 per cell]
S1 0.1832 0.9179 0.5050 [4 per cell]
N1 0.0040 0.7062 0.9987 [4 per cell]
O1 0.0288 0.8810 0.5191 [4 per cell]
O2 0.2001 0.0357 0.3312 [4 per cell]
O3 0.2315 0.9622 0.7458 [4 per cell]
O4 0.2404 0.2914 0.9235 [4 per cell]

Summary:
As for the total magnetization: 4.00 μB per formula unit. The value obtained for the total energy is -5.32 eV per atom.

***

7.
This record from the Materials Project describes LiSNO4 after structural relaxation. The functional is PBE.

abc: 9.3321 5.4439 17.9334
angles: 90.00 90.34 90.00
Space group P2_1/c (No. 14)
Inequivalent atoms, fractional coordinates:
Li1 0.0890 0.2333 0.3383 [4 per cell]
Li2 0.4068 0.2298 0.5858 [4 per cell]
S1 0.0748 0.2347 0.1482 [4 per cell]
S2 0.4154 0.2392 0.8981 [4 per cell]
N1 0.2046 0.7474 0.5038 [4 per cell]
N2 0.2820 0.7314 0.2517 [4 per cell]
O1 0.0239 0.5468 0.3840 [4 per cell]
O2 0.0378 0.0212 0.6178 [4 per cell]
O3 0.0676 0.2348 0.2305 [4 per cell]
O4 0.2220 0.1584 0.1270 [4 per cell]
O5 0.2960 0.1862 0.3486 [4 per cell]
O6 0.3722 0.2262 0.4773 [4 per cell]
O7 0.4462 0.5249 0.3863 [4 per cell]
O8 0.4565 0.6092 0.1170 [4 per cell]

Summary:
As for the total magnetization: 2.00 μB per formula unit. The value obtained for the total energy is -5.31 eV per atom.

***

8.
This record from the Materials Project describes Sr2LiTa2N2O4 after structural relaxation. The functional is PBE.

abc: 8.2339 8.1112 5.8931
angles: 90.00 134.25 90.00
Space group C2/m (No. 12)
Inequivalent atoms, fractional coordinates:
Sr1 0.1988 0.0000 0.4081 [4 per cell]
Li1 0.0000 0.5000 0.0000 [2 per cell]
Ta1 0.2500 0.2500 0.0000 [4 per cell]
N1 0.0000 0.2491 0.0000 [4 per cell]
O1 0.0000 0.2291 0.5000 [4 per cell]
O2 0.2259 0.5000 0.9629 [4 per cell]

Summary:
As for the total magnetization: 0.00 μB per formula unit. The value obtained for the total energy is -7.99 eV per atom.

***

9.
This record from the Materials Project describes Sr2LiTa2N2O4 after structural relaxation. The functional is PBE.

abc: 8.1597 8.4560 8.1929
angles: 90.00 90.00 90.00
Space group Fmm2 (No. 42)
Inequivalent atoms, fractional coordinates:
Sr1 0.0000 0.2130 0.0000 [8 per cell]
Li1 0.0000 0.0000 0.4271 [4 per cell]
Ta1 0.2432 0.0000 0.7324 [8 per cell]
N1 0.2500 0.2500 0.2309 [8 per cell]
O1 0.0000 0.0000 0.2050 [4 per cell]
O2 0.0000 0.0000 0.7660 [4 per cell]
O3 0.2177 0.0000 0.4827 [8 per cell]

Summary:
As for the total magnetization: 0.00 μB per formula unit. The value obtained for the total energy is -7.93 eV per atom.

***

10.
This record from the Materials Project describes LiOsN2 after structural relaxation. The functional is PBE.

abc: 5.6448 11.4842 14.3129
angles: 90.00 90.00 90.00
Space group Pbca (No. 61)
Inequivalent atoms, fractional coordinates:
Li1 0.0817 0.1605 0.0216 [8 per cell]
Li2 0.0970 0.5314 0.6928 [8 per cell]
Os1 0.1161 0.0543 0.4336 [8 per cell]
Os2 0.2072 0.2147 0.3132 [8 per cell]
N1 0.0549 0.7188 0.7326 [8 per cell]
N2 0.2074 0.5184 0.0561 [8 per cell]
N3 0.2214 0.2129 0.4497 [8 per cell]
N4 0.2497 0.0441 0.3088 [8 per cell]

Summary:
As for the total magnetization: 0.00 μB per formula unit. The value obtained for the total energy is -7.30 eV per atom.